Arrangement A

Density functional theory data (PBE) for MgB3O13 after structural relaxation.

Geometry as extended XYZ:
```
34
Lattice="-4.541 -3.224 1.201 2.515 -5.201 -7.022 6.184 -1.790 7.846" Properties=species:S:1:pos:R:3 pbc="T T T"
O 1.754 -1.778 4.165
O 1.673 -4.681 0.844
O 1.977 -3.595 -2.401
Mg 0.467 -4.590 -3.145
O 3.552 -6.634 -1.924
O 2.766 -3.832 6.025
B -1.736 -5.740 -0.772
O -2.260 -4.161 1.653
O 2.111 -3.708 7.100
Mg 3.691 -5.625 5.170
O 3.582 -2.426 1.710
O 1.392 -6.383 -4.000
O -0.388 -3.147 -1.922
O 0.576 -7.789 0.315
B 6.917 -6.471 1.577
O 2.733 -4.309 8.404
O 0.606 -3.582 3.950
B -1.405 -5.285 1.675
O -1.078 -5.932 0.520
O -2.597 -4.430 -0.716
B 5.563 -4.931 0.350
O 2.047 -6.507 -5.074
O 4.546 -7.068 3.947
O 2.181 -6.620 4.426
O 6.755 -5.786 2.742
O 2.485 -5.535 1.181
O 6.418 -6.054 0.372
O -0.730 -5.495 -1.817
O 1.425 -5.907 -6.379
B -2.759 -3.744 0.448
B 5.893 -4.475 2.798
O 4.888 -4.721 3.842
O 2.404 -8.438 -2.140
O 5.236 -4.284 1.505
```



Arrangement B

Density functional theory data (PBE) for MgB3O13 after structural relaxation.

Geometry as extended XYZ:
```
68
Lattice="-8.690 9.628 -2.550 -4.222 -2.759 3.971 2.632 4.977 9.823" Properties=species:S:1:pos:R:3 pbc="T T T"
Mg -5.717 12.316 7.705
O -1.571 3.464 5.175
O -7.621 11.518 3.593
B -6.094 4.284 5.116
B -1.050 2.642 11.121
O -4.862 4.401 4.485
O -5.885 8.088 1.367
O -6.104 3.665 6.322
O -2.920 1.538 7.916
O -2.660 0.328 7.650
O -9.190 10.989 8.487
O -1.238 7.041 9.798
O -6.880 6.379 -0.662
O -3.055 6.980 6.704
O -3.907 2.080 7.231
O -7.137 13.370 6.570
O -5.118 11.184 6.117
O -1.873 0.355 4.961
O -5.017 6.885 11.483
B -3.388 6.242 7.840
O -6.079 4.964 2.440
O -6.592 1.660 2.314
O -5.419 7.445 6.758
O -6.374 9.766 4.012
B -6.892 5.604 3.403
O -8.710 8.382 6.068
O -1.950 3.010 12.066
O -3.214 4.912 7.934
O -1.936 4.508 4.642
O -4.177 8.180 4.921
O -10.129 5.368 1.552
O -9.670 8.208 0.985
O -6.875 10.669 7.890
Mg -5.285 7.891 3.307
O -8.331 8.836 -0.823
O -5.163 0.662 5.126
O -0.611 3.638 10.257
O -1.091 0.857 2.755
B -2.131 0.902 3.684
O -7.066 6.934 3.309
B -9.231 9.203 0.122
O -8.408 11.491 6.282
O -3.405 1.177 3.353
O -3.401 5.466 11.904
O -9.043 4.805 1.445
B 0.147 3.360 9.020
O -4.180 6.147 2.912
O -8.345 7.338 6.601
O -4.202 6.881 8.802
B -8.149 10.943 7.559
B -10.428 8.486 2.223
O -7.361 10.308 3.326
B -5.569 7.050 8.173
O -4.395 3.758 9.876
O -0.379 3.999 7.863
B -4.187 7.562 6.127
O -9.902 7.847 3.380
O -3.877 3.928 2.311
Mg -4.996 3.955 7.936
O -6.100 5.698 8.330
O -3.143 -1.524 4.673
Mg -4.564 -0.471 3.538
O -5.264 4.961 -0.240
O -3.689 10.186 8.929
O -0.152 6.478 9.691
O -6.403 7.918 8.932
B -4.711 4.796 3.069
O -7.225 4.866 4.539
```



Arrangement C

Density functional theory data (PBE) for MgB3O13 after structural relaxation.

Geometry as extended XYZ:
```
68
Lattice="13.301 0.000 0.000 0.000 7.174 0.000 0.000 2.484 11.258" Properties=species:S:1:pos:R:3 pbc="T T T"
O 10.625 2.708 6.124
O 9.326 1.466 0.495
O 12.183 3.991 1.987
O 3.874 3.896 11.018
O 8.202 4.412 11.219
O 10.456 8.733 11.031
O 5.533 4.424 3.642
O 7.415 5.954 3.427
O 1.118 5.666 9.270
O 7.933 3.021 6.818
O 2.845 0.925 0.227
O 7.506 3.872 2.324
O 10.525 7.004 5.869
O 5.099 5.246 0.039
O 12.218 6.044 3.274
O 9.182 4.379 3.950
O 0.765 2.462 2.202
B 7.216 3.968 7.443
O 6.169 8.175 10.788
O 12.536 7.196 9.055
O 5.368 6.637 4.440
O 2.776 2.654 5.389
O 11.749 3.170 5.590
O 5.568 2.372 2.355
Mg 4.568 6.902 6.191
B 5.168 4.876 8.040
B 6.085 5.690 3.814
B 8.133 4.782 3.217
O 2.247 6.141 2.586
O 7.132 1.483 0.470
O 4.119 5.279 7.308
O 13.078 3.690 9.788
O 1.282 7.879 10.069
O 7.733 7.286 8.902
Mg 8.733 2.756 5.067
O 6.428 7.210 7.099
O 0.856 4.543 3.305
Mg 2.082 5.660 0.562
B 0.317 4.549 8.757
O 10.769 5.621 9.578
O 2.532 4.037 1.679
O 3.974 8.192 10.762
B 12.984 5.109 2.500
B 6.333 3.307 3.129
O 5.794 5.785 8.934
B 0.565 6.932 9.443
O 3.806 2.167 5.855
O 1.551 6.488 5.668
O 9.427 5.762 0.240
B 1.482 3.634 2.412
O 2.676 6.950 5.133
Mg 11.219 3.998 10.695
O 0.223 5.968 1.470
O 6.873 2.447 4.159
O 12.445 5.115 7.953
O 7.768 5.233 7.616
B 11.818 6.024 8.846
O 8.897 2.275 3.042
O 12.019 1.779 1.189
B 6.967 6.351 8.129
O 12.819 2.725 6.099
O 1.082 3.614 7.984
O 0.481 6.933 5.159
B 12.735 2.725 1.814
O 5.886 3.704 7.831
O 9.495 7.491 5.402
O 4.403 7.383 8.215
O 11.054 3.517 8.671
```



Relative to the most stable structure, the computed energies are arrangement A 0; arrangement B 256; arrangement C 230, all in meV/atom.